# 1
DFT (GGA+U) results for a geometry-optimized SrNiP2O8 structure.

Structure (POSCAR):
```
SrNiP2O8
1.0
5.624 0.000 0.000
-1.206 6.957 0.000
-1.697 -3.658 8.137
Sr Ni P O
2 2 4 16
Cartesian
0.367 -0.175 3.688
2.354 3.475 4.449
-0.185 5.729 0.434
2.906 -2.429 7.704
-0.544 2.992 2.101
0.563 -2.754 6.533
2.158 6.054 1.605
3.265 0.308 6.037
-0.122 2.433 0.718
-1.890 3.431 7.076
-0.948 0.706 5.613
-0.515 4.550 2.042
0.199 -2.264 5.140
0.456 2.458 3.137
2.034 -0.057 1.660
1.680 4.997 0.571
1.041 -1.698 7.566
0.687 3.357 6.477
2.265 0.842 5.000
2.522 5.564 2.998
3.236 -1.250 6.095
3.669 2.594 2.525
4.610 -0.131 1.061
2.843 0.867 7.420
```

Calculated values
Total magnetic moment = 3.9 μB per cell
ΔH_f (0 K) = -2.367 eV per atom
V = 13.3 Å³/atom
VASP energy = -6.52 eV/atom

# 2
DFT (GGA+U) results for a geometry-optimized Sr2NiP2O8 structure.

Structure (POSCAR):
```
Sr2NiP2O8
1.0
11.805 0.000 0.000
0.000 10.117 0.000
-1.246 0.000 9.037
Sr Ni P O
12 6 12 48
Cartesian
-0.323 1.198 2.743
-0.946 3.861 7.261
2.837 2.277 5.992
3.460 2.781 1.473
3.691 6.579 3.005
3.068 8.597 7.524
7.491 1.520 1.514
6.868 3.538 6.033
7.099 7.336 7.564
7.722 7.840 3.046
11.505 6.256 1.776
10.882 8.919 6.295
1.306 6.164 5.651
1.929 9.012 1.132
5.279 0.000 4.519
5.902 5.059 0.000
8.630 1.105 7.905
9.253 3.953 3.386
0.316 1.020 8.472
0.939 4.039 3.953
2.511 5.827 0.051
1.888 9.349 4.569
4.512 5.736 6.422
5.135 9.440 1.903
5.424 0.678 7.134
6.047 4.381 2.616
8.671 0.769 4.468
8.048 4.290 8.987
9.619 6.078 5.085
10.242 9.097 0.566
-1.065 1.335 7.835
-0.442 3.724 3.316
0.842 0.362 4.721
1.465 4.696 0.202
1.547 1.032 1.008
0.924 4.027 5.527
1.341 5.510 3.592
0.719 9.666 8.111
2.038 6.966 1.021
1.415 8.210 5.540
1.317 2.086 7.993
1.940 2.973 3.474
1.383 6.411 7.671
2.006 8.765 3.153
3.873 5.279 0.587
3.250 9.897 5.105
3.367 6.250 5.520
3.990 8.926 1.001
4.065 0.814 7.841
4.688 4.245 3.322
4.887 0.776 2.428
4.265 4.283 6.947
4.590 6.624 7.742
5.213 8.552 3.224
5.346 1.565 5.814
5.969 3.493 1.295
6.294 5.835 2.090
5.671 9.341 6.609
5.871 5.873 5.715
6.494 9.303 1.196
6.569 1.191 8.036
7.192 3.867 3.517
7.309 0.220 3.932
6.686 4.838 8.451
8.553 1.352 5.885
9.176 3.707 1.366
8.619 7.145 5.563
9.241 8.031 1.045
9.144 1.907 3.498
8.521 3.151 8.016
9.840 0.452 0.927
9.217 4.607 5.446
9.635 6.090 3.511
9.012 9.086 8.030
9.094 5.421 8.835
9.717 9.755 4.317
11.001 6.393 5.722
11.624 8.782 1.203
```

Calculated values
Total magnetic moment = 12.0 μB per cell
ΔH_f (0 K) = -2.945 eV per atom
V = 13.8 Å³/atom
VASP energy = -6.91 eV/atom

# 3
DFT (GGA+U) results for a geometry-optimized SrNiP2O7 structure.

Structure (POSCAR):
```
SrNiP2O7
1.0
5.331 0.000 0.000
0.000 8.336 0.000
-5.302 0.000 12.795
Sr Ni P O
4 4 8 28
Cartesian
-1.139 1.322 2.794
-3.790 2.845 9.192
3.818 5.490 3.603
1.167 7.013 10.001
-1.651 5.409 7.838
1.000 7.094 1.440
-0.972 1.241 11.355
1.680 2.926 4.958
1.644 1.637 0.224
-1.007 2.530 6.622
-1.329 0.309 8.499
1.322 3.859 2.101
-1.293 4.477 10.694
1.358 8.027 4.296
1.035 5.805 6.173
-1.616 6.698 12.571
-4.291 1.524 11.624
-1.640 2.644 5.226
-2.743 0.511 9.027
-0.092 3.656 2.629
0.902 0.801 1.288
-1.750 3.367 7.685
-1.246 0.971 7.028
1.405 3.196 0.630
-2.343 5.185 9.802
0.308 7.319 3.405
-0.481 5.552 6.130
-3.132 6.952 12.527
1.738 5.320 1.945
-0.914 7.183 8.342
0.942 1.152 4.453
-1.709 3.015 10.850
3.161 1.384 0.268
0.510 2.784 6.666
-0.280 1.017 9.390
2.371 3.151 2.993
-1.377 5.139 12.165
1.274 7.364 5.767
1.778 4.969 5.110
-0.873 7.535 11.507
0.120 4.679 10.166
2.771 7.824 3.768
1.668 5.692 7.569
4.319 6.812 1.171
```

Calculated values
Total magnetic moment = 8.0 μB per cell
ΔH_f (0 K) = -2.746 eV per atom
V = 12.9 Å³/atom
VASP energy = -6.89 eV/atom

# 4
DFT (GGA+U) results for a geometry-optimized Sr2ZnNi2P4O16 structure.

Structure (POSCAR):
```
Sr2ZnNi2P4O16
1.0
5.551 0.000 0.000
-1.007 6.811 0.000
-1.842 -3.507 8.347
Sr Zn Ni P O
2 1 2 4 16
Cartesian
0.000 0.000 0.000
0.664 -0.314 7.401
2.393 2.437 4.793
-0.511 0.990 3.212
1.277 -1.392 4.130
-0.175 3.658 1.491
-0.189 2.836 5.865
2.620 0.715 2.037
3.653 -1.057 5.361
-1.624 -1.406 6.827
-1.642 2.346 6.133
-0.181 2.103 1.572
-0.627 -0.343 4.765
-0.628 4.255 2.843
0.362 2.239 4.500
1.339 -0.016 2.572
1.211 4.115 1.034
0.853 -2.438 5.807
2.347 1.155 0.604
0.805 2.304 6.918
2.397 -0.104 5.278
2.228 4.526 4.491
3.054 1.838 3.042
3.905 -0.189 2.051
4.354 4.184 0.455
```

Calculated values
Excess energy over the best structure of this formula in the dataset = 0 meV/atom
Total magnetic moment = 4.0 μB per cell
ΔH_f (0 K) = -2.494 eV per atom
V = 12.6 Å³/atom
VASP energy = -6.53 eV/atom

# 5
DFT (GGA+U) results for a geometry-optimized TaNiP2O9 structure.

Structure (POSCAR):
```
TaNiP2O9
1.0
14.299 0.000 0.000
0.000 6.456 0.000
0.000 0.000 7.976
Ta Ni P O
4 4 8 36
Cartesian
1.713 1.614 1.238
5.436 4.842 5.226
8.862 1.614 2.750
12.586 4.842 6.738
0.000 0.000 3.988
0.000 3.228 3.988
7.149 0.000 0.000
7.149 3.228 0.000
0.812 4.842 1.246
2.667 4.842 4.840
4.482 1.614 0.852
6.337 1.614 5.234
7.962 4.842 2.742
9.817 4.842 7.124
11.631 1.614 3.136
13.487 1.614 6.730
0.252 4.842 2.675
0.313 1.614 7.783
0.750 1.614 2.791
1.701 3.595 1.036
1.701 6.090 1.036
1.795 3.585 4.820
1.795 6.100 4.820
3.425 1.614 7.686
3.532 1.614 2.113
3.617 4.842 6.101
3.724 4.842 3.697
5.355 0.357 0.832
5.355 2.872 0.832
5.449 0.367 5.025
5.449 2.861 5.025
6.399 4.842 6.779
6.836 4.842 3.794
6.898 1.614 6.663
7.401 4.842 1.313
7.463 1.614 4.182
7.899 1.614 1.197
8.850 3.595 2.952
8.850 6.090 2.952
8.944 3.585 7.144
8.944 6.100 7.144
10.575 1.614 4.279
10.682 1.614 1.875
10.766 4.842 5.863
10.873 4.842 0.291
12.504 0.357 3.156
12.504 2.872 3.156
12.598 0.367 6.940
12.598 2.861 6.940
13.549 4.842 5.186
13.986 4.842 0.194
14.047 1.614 5.301
```

Calculated values
Total magnetic moment = 12.0 μB per cell
ΔH_f (0 K) = -2.522 eV per atom
V = 14.2 Å³/atom
VASP energy = -7.47 eV/atom

# 6
DFT (GGA+U) results for a geometry-optimized NiTeP2O9 structure.

Structure (POSCAR):
```
NiTeP2O9
1.0
6.391 0.000 0.000
0.000 7.846 0.000
0.000 -0.004 14.049
Ni Te P O
4 4 8 36
Cartesian
0.000 0.000 0.000
6.391 3.925 7.025
3.196 0.000 14.047
3.200 3.921 7.024
1.600 1.194 5.256
1.600 2.730 12.279
4.796 5.117 1.767
4.796 6.653 8.790
1.600 0.880 2.581
1.600 3.049 9.604
1.600 5.141 0.821
1.600 6.631 7.844
4.796 1.216 6.201
4.796 2.706 13.225
4.796 4.798 4.442
4.796 6.967 11.465
0.309 0.767 1.829
0.308 3.161 8.852
0.389 4.909 1.778
0.389 6.861 8.801
1.600 1.247 13.361
1.600 1.738 10.578
1.600 2.190 3.556
1.600 2.679 6.338
1.600 4.042 13.777
1.601 4.107 10.915
1.600 5.234 7.273
1.600 6.538 0.250
1.600 7.667 3.890
1.600 7.727 6.753
2.811 4.909 1.778
2.811 6.860 8.802
2.892 0.767 1.829
2.893 3.161 8.853
3.503 4.686 5.194
3.504 7.081 12.217
3.585 0.988 5.244
3.585 2.939 12.268
4.796 0.120 7.293
4.796 0.181 10.155
4.796 1.309 13.796
4.796 2.613 6.773
4.795 3.741 3.131
4.796 3.805 0.270
4.796 5.168 7.708
4.796 6.109 3.468
4.796 6.600 0.685
4.796 5.658 10.489
6.007 0.987 5.244
6.007 2.939 12.268
6.087 7.081 12.217
6.088 4.686 5.194
```

Calculated values
Total magnetic moment = 8.0 μB per cell
ΔH_f (0 K) = -2.004 eV per atom
V = 13.5 Å³/atom
VASP energy = -6.28 eV/atom

# 7
DFT (GGA+U) results for a geometry-optimized Ni5TeP6O24 structure.

Structure (POSCAR):
```
Ni5TeP6O24
1.0
4.326 2.498 6.880
-4.326 2.498 6.880
0.000 -4.995 6.880
Ni Te P O
5 1 6 24
Cartesian
0.000 0.000 0.000
0.000 0.000 2.818
0.000 0.000 10.387
0.000 0.000 13.300
0.000 0.000 16.225
0.000 0.000 5.894
-1.314 -2.224 8.171
-3.002 -0.328 11.593
-1.269 2.250 8.171
1.785 -2.436 11.593
2.583 -0.026 8.171
1.217 2.764 11.593
-3.428 -0.976 10.309
-1.457 0.119 4.532
-0.632 -3.605 8.285
-0.849 -1.484 6.797
-3.473 -0.962 12.875
0.626 -1.321 4.532
-2.806 2.350 8.285
-0.929 -1.415 9.371
-0.860 1.477 6.797
-1.500 -0.044 11.779
0.831 1.202 4.532
-0.761 1.512 9.371
1.709 0.006 6.797
-0.652 -1.366 14.783
0.788 -1.277 11.779
2.559 -2.481 10.309
1.690 -0.097 9.371
-0.857 1.248 14.783
0.712 1.321 11.779
2.570 -2.527 12.875
0.869 3.456 10.309
3.438 1.255 8.285
1.509 0.118 14.783
0.903 3.489 12.875
```

Calculated values
Total magnetic moment = 9.1 μB per cell
ΔH_f (0 K) = -2.024 eV per atom
V = 12.4 Å³/atom
VASP energy = -6.30 eV/atom

# 8
DFT (GGA+U) results for a geometry-optimized TiNi5P6O24 structure.

Structure (POSCAR):
```
TiNi5P6O24
1.0
4.311 2.489 6.896
-4.311 2.489 6.896
0.000 -4.978 6.896
Ti Ni P O
1 5 6 24
Cartesian
0.000 0.000 0.000
0.000 0.000 3.028
0.000 0.000 5.960
0.000 0.000 10.453
0.000 0.000 13.375
0.000 0.000 16.298
-2.557 -0.009 8.194
-1.745 -2.485 11.621
1.286 -2.210 8.194
-1.280 2.754 11.621
1.271 2.219 8.194
3.025 -0.268 11.621
-2.563 -2.368 10.337
-0.624 -1.366 4.539
-3.491 1.259 8.331
-2.703 -2.604 12.843
-1.714 0.034 6.929
-0.871 1.223 4.539
0.655 -3.653 8.331
-1.748 -0.065 9.477
0.828 -1.501 6.929
-0.854 -1.259 11.903
1.495 0.143 4.539
0.930 -1.481 9.477
0.886 1.467 6.929
-1.493 0.077 14.883
-0.663 1.369 11.903
-0.769 3.404 10.337
0.817 1.546 9.477
0.680 -1.332 14.883
1.517 -0.110 11.903
-0.904 3.643 12.843
3.333 -1.036 10.337
2.836 2.394 8.331
0.813 1.255 14.883
3.607 -1.039 12.843
```

Calculated values
Total magnetic moment = 10.0 μB per cell
ΔH_f (0 K) = -2.181 eV per atom
V = 12.3 Å³/atom
VASP energy = -6.59 eV/atom